The following is a PBE calculation of Cr6Si7Ni16 after structural relaxation, from the Materials Project database.

The structure in POSCAR format:
```
Cr6Si7Ni16
1.0
0.000 5.526 5.526
5.526 0.000 5.526
5.526 5.526 0.000
Cr Si Ni
6 7 16
direct
0.188 0.188 0.812
0.188 0.812 0.812
0.812 0.188 0.188
0.188 0.812 0.188
0.812 0.188 0.812
0.812 0.812 0.188
0.500 0.500 0.500
0.500 0.500 0.000
0.000 0.500 0.500
0.500 0.000 0.000
0.000 0.000 0.500
0.000 0.500 0.000
0.500 0.000 0.500
0.834 0.497 0.834
0.166 0.166 0.503
0.503 0.166 0.166
0.166 0.166 0.166
0.497 0.834 0.834
0.834 0.834 0.834
0.834 0.834 0.497
0.166 0.503 0.166
0.618 0.147 0.618
0.382 0.382 0.853
0.853 0.382 0.382
0.382 0.382 0.382
0.147 0.618 0.618
0.618 0.618 0.618
0.618 0.618 0.147
0.382 0.853 0.382
```

Summary:
As for the calculated total energy: -6.8332 eV/atom. Its formation energy is -0.337 eV/atom. The crystal system is cubic.

***

The following is a PBE calculation of Cr3NiSn8 after structural relaxation, from the Materials Project database.

The structure in POSCAR format:
```
Cr3NiSn8
1.0
0.000 0.000 -5.480
-3.392 3.392 2.740
6.622 6.622 0.000
Cr Ni Sn
3 1 8
direct
0.250 0.000 0.500
0.250 0.000 0.000
0.750 0.000 0.500
0.750 0.000 0.000
0.250 0.500 0.412
0.750 0.500 0.916
0.250 0.500 0.084
0.750 0.500 0.588
0.912 0.824 0.248
0.412 0.824 0.752
0.588 0.176 0.248
0.088 0.176 0.752
```

Summary:
As for the calculated total energy: -5.4766 eV/atom. Its formation energy is 0.091 eV/atom. The crystal system is orthorhombic.

***

The following is a PBE calculation of Cr5NiSn12 after structural relaxation, from the Materials Project database.

The structure in POSCAR format:
```
Cr5NiSn12
1.0
-2.455 -2.577 -4.213
-0.436 -2.060 5.098
-11.277 7.420 2.033
Cr Ni Sn
5 1 12
direct
0.000 0.000 0.169
0.000 0.000 0.831
0.500 0.000 0.167
0.000 0.500 0.833
0.500 0.500 0.500
0.000 0.000 0.500
0.168 0.331 0.665
0.669 0.832 0.335
0.166 0.834 0.000
0.832 0.669 0.665
0.331 0.168 0.335
0.834 0.166 0.000
0.500 0.000 0.554
0.000 0.500 0.223
0.500 0.500 0.889
0.500 0.000 0.777
0.500 0.500 0.111
0.000 0.500 0.446
```

Summary:
As for the calculated total energy: -5.5699 eV/atom. Its formation energy is 0.106 eV/atom. The crystal system is orthorhombic.

***

The following is a PBE calculation of NpCr2Si2 after structural relaxation, from the Materials Project database.

The structure in POSCAR format:
```
NpCr2Si2
1.0
1.794 2.597 4.821
-2.338 -1.074 5.156
2.109 -2.792 -4.579
Np Cr Si
1 2 2
direct
0.000 0.000 0.000
0.250 0.750 0.500
0.750 0.250 0.500
0.616 0.616 0.000
0.384 0.384 0.000
```

Summary:
As for the calculated total energy: -8.6393 eV/atom. Its formation energy is 0.010 eV/atom. The crystal system is tetragonal.

***

The following is a PBE calculation of V2CrOs after structural relaxation, from the Materials Project database.

The structure in POSCAR format:
```
V2CrOs
1.0
0.000 2.973 2.973
2.973 0.000 2.973
2.973 2.973 0.000
V Cr Os
2 1 1
direct
0.750 0.750 0.750
0.250 0.250 0.250
0.500 0.500 0.500
0.000 0.000 0.000
```

Summary:
As for the calculated total energy: -10.0599 eV/atom. Its formation energy is -0.298 eV/atom. The crystal system is cubic.

***

The following is a PBE calculation of CrP2 after structural relaxation, from the Materials Project database.

The structure in POSCAR format:
```
CrP2
1.0
1.504 4.091 0.000
-1.504 4.091 0.000
0.000 3.490 6.180
Cr P
2 4
direct
0.157 0.157 0.295
0.843 0.843 0.705
0.856 0.856 0.029
0.144 0.144 0.971
0.601 0.601 0.599
0.399 0.399 0.401
```

Summary:
As for the calculated total energy: -7.2541 eV/atom. Its formation energy is -0.428 eV/atom. The crystal system is monoclinic.

***

The following is a PBE calculation of CrP4 after structural relaxation, from the Materials Project database.

The structure in POSCAR format:
```
CrP4
1.0
-1.247 -0.398 5.829
4.777 -2.076 -2.926
3.901 3.690 1.977
Cr P
2 8
direct
0.060 0.940 0.750
0.940 0.060 0.250
0.946 0.508 0.691
0.492 0.054 0.809
0.639 0.817 0.676
0.183 0.361 0.824
0.361 0.183 0.324
0.817 0.639 0.176
0.508 0.946 0.191
0.054 0.492 0.309
```

Summary:
As for the calculated total energy: -6.5428 eV/atom. Its formation energy is -0.282 eV/atom. The crystal system is monoclinic.

***

The following is a PBE calculation of CrP3S9 after structural relaxation, from the Materials Project database.

The structure in POSCAR format:
```
CrP3S9
1.0
11.847 0.000 0.000
-1.703 11.748 0.000
-3.952 -4.498 11.761
Cr P S
4 12 36
direct
0.358 0.155 0.756
0.914 0.608 0.752
0.085 0.371 0.228
0.655 0.848 0.253
0.458 0.078 0.580
0.424 0.046 0.926
0.652 0.518 0.611
0.001 0.100 0.062
0.233 0.282 0.753
0.032 0.453 0.752
0.939 0.556 0.249
0.785 0.727 0.253
0.982 0.869 0.893
0.421 0.521 0.447
0.572 0.950 0.079
0.550 0.927 0.425
0.282 0.080 0.554
0.681 0.047 0.240
0.526 0.107 0.457
0.488 0.385 0.522
0.121 0.028 0.968
0.991 0.151 0.317
0.554 0.190 0.741
0.603 0.019 0.957
0.431 0.223 0.958
0.792 0.492 0.558
0.969 0.290 0.608
0.729 0.555 0.781
0.138 0.289 0.595
0.958 0.252 0.037
0.795 0.581 0.122
0.100 0.596 0.718
0.913 0.404 0.283
0.182 0.413 0.865
0.008 0.733 0.951
0.325 0.455 0.149
0.089 0.566 0.208
0.926 0.702 0.381
0.275 0.560 0.475
0.576 0.775 0.051
0.984 0.980 0.246
0.390 0.971 0.043
0.456 0.813 0.266
0.930 0.791 0.722
0.259 0.320 0.196
0.848 0.953 0.930
0.582 0.660 0.579
0.479 0.897 0.546
0.310 0.957 0.764
0.155 0.257 0.340
0.497 0.513 0.245
0.727 0.929 0.456
```

Summary:
As for the calculated total energy: -4.9180 eV/atom. Its formation energy is -0.411 eV/atom. The crystal system is triclinic.

***

The following is a PBE calculation of Tl3Cr2P3S12 after structural relaxation, from the Materials Project database.

The structure in POSCAR format:
```
Tl3Cr2P3S12
1.0
-5.581 5.255 10.289
1.618 -8.378 5.157
17.113 -0.417 9.495
Tl Cr P S
12 8 12 48
direct
0.920 0.807 0.639
0.080 0.193 0.361
0.420 0.193 0.861
0.580 0.807 0.139
0.925 0.789 0.952
0.075 0.211 0.048
0.425 0.211 0.548
0.575 0.789 0.452
0.127 0.302 0.702
0.873 0.698 0.298
0.627 0.698 0.798
0.373 0.302 0.202
0.278 0.707 0.899
0.722 0.293 0.101
0.778 0.293 0.601
0.222 0.707 0.399
0.268 0.716 0.712
0.732 0.284 0.288
0.768 0.284 0.788
0.232 0.716 0.212
0.241 0.721 0.554
0.759 0.279 0.446
0.741 0.279 0.946
0.259 0.721 0.054
0.363 0.962 0.753
0.637 0.038 0.247
0.863 0.038 0.747
0.137 0.962 0.253
0.184 0.456 0.858
0.816 0.544 0.142
0.684 0.544 0.642
0.316 0.456 0.358
0.138 0.601 0.521
0.862 0.399 0.479
0.638 0.399 0.979
0.362 0.601 0.021
0.212 0.872 0.774
0.788 0.128 0.226
0.712 0.128 0.726
0.288 0.872 0.274
0.679 0.762 0.605
0.321 0.238 0.395
0.179 0.238 0.895
0.821 0.762 0.105
0.429 0.868 0.858
0.571 0.132 0.142
0.929 0.132 0.642
0.071 0.868 0.358
0.422 0.872 0.684
0.578 0.128 0.316
0.922 0.128 0.816
0.078 0.872 0.184
0.131 0.543 0.930
0.869 0.457 0.070
0.631 0.457 0.570
0.369 0.543 0.430
0.336 0.548 0.836
0.664 0.452 0.164
0.836 0.452 0.664
0.164 0.548 0.336
0.337 0.591 0.639
0.663 0.409 0.361
0.837 0.409 0.861
0.163 0.591 0.139
0.868 0.817 0.791
0.132 0.183 0.209
0.368 0.183 0.709
0.632 0.817 0.291
0.177 0.856 0.598
0.823 0.144 0.402
0.677 0.144 0.902
0.323 0.856 0.098
0.186 0.845 0.954
0.814 0.155 0.046
0.686 0.155 0.546
0.314 0.845 0.454
0.117 0.563 0.754
0.883 0.437 0.246
0.617 0.437 0.746
0.383 0.563 0.254
```

Summary:
As for the calculated total energy: -5.0784 eV/atom. Its formation energy is -0.767 eV/atom. The crystal system is monoclinic.

***

The following is a PBE calculation of CrPSe3 after structural relaxation, from the Materials Project database.

The structure in POSCAR format:
```
CrPSe3
1.0
-6.105 -1.732 -0.103
2.853 1.213 5.538
-2.892 6.247 1.331
Cr P Se
2 2 6
direct
0.667 0.333 0.000
0.333 0.667 0.000
0.057 0.057 0.832
0.943 0.943 0.168
0.712 0.712 0.771
0.288 0.288 0.229
0.076 0.440 0.771
0.440 0.076 0.771
0.924 0.560 0.229
0.560 0.924 0.229
```

Summary:
As for the calculated total energy: -5.3724 eV/atom. Its formation energy is -0.545 eV/atom. The crystal system is monoclinic.

***

The following is a PBE calculation of TiCrP2 after structural relaxation, from the Materials Project database.

The structure in POSCAR format:
```
TiCrP2
1.0
-0.226 0.706 -3.373
-1.881 -2.557 1.358
-4.267 3.702 1.060
Ti Cr P
1 1 2
direct
0.000 0.000 0.000
0.000 0.000 0.500
0.333 0.667 0.266
0.667 0.333 0.734
```

Summary:
As for the calculated total energy: -7.8577 eV/atom. Its formation energy is -0.764 eV/atom. The crystal system is trigonal.

***

The following is a PBE calculation of VCrP2 after structural relaxation, from the Materials Project database.

The structure in POSCAR format:
```
VCrP2
1.0
3.115 0.000 0.000
0.000 5.405 0.000
0.000 0.000 6.066
V Cr P
2 2 4
direct
0.000 0.505 0.442
0.000 0.005 0.558
0.500 0.491 0.061
0.500 0.991 0.939
0.500 0.314 0.693
0.500 0.814 0.307
0.000 0.689 0.823
0.000 0.189 0.177
```

Summary:
As for the calculated total energy: -8.0639 eV/atom. Its formation energy is -0.673 eV/atom. The crystal system is orthorhombic.

***

The following is a PBE calculation of CrP8W3 after structural relaxation, from the Materials Project database.

The structure in POSCAR format:
```
CrP8W3
1.0
1.576 4.226 0.000
-1.576 4.226 0.000
0.000 1.205 12.945
Cr P W
1 8 3
direct
0.554 0.554 0.604
0.850 0.850 0.554
0.349 0.349 0.049
0.652 0.652 0.946
0.150 0.150 0.458
0.123 0.123 0.729
0.624 0.624 0.240
0.379 0.379 0.755
0.875 0.875 0.265
0.055 0.055 0.104
0.946 0.946 0.893
0.444 0.444 0.402
```

Summary:
As for the calculated total energy: -8.0219 eV/atom. Its formation energy is -0.369 eV/atom. The crystal system is monoclinic.

***

The following is a PBE calculation of CrP2W after structural relaxation, from the Materials Project database.

The structure in POSCAR format:
```
CrP2W
1.0
3.169 0.000 0.000
0.000 5.521 0.000
0.000 0.000 6.150
Cr P W
2 4 2
direct
0.500 0.489 0.064
0.500 0.989 0.936
0.500 0.321 0.705
0.500 0.821 0.295
0.000 0.685 0.833
0.000 0.185 0.167
0.000 0.506 0.445
0.000 0.006 0.555
```

Summary:
As for the calculated total energy: -8.8020 eV/atom. Its formation energy is -0.443 eV/atom. The crystal system is orthorhombic.

***

The following is a PBE calculation of Zr2Cr30P19 after structural relaxation, from the Materials Project database.

The structure in POSCAR format:
```
Zr2Cr30P19
1.0
-12.778 4.275 -6.273
10.339 -6.898 -8.151
-1.333 -2.884 0.750
Zr Cr P
2 30 19
direct
0.000 0.000 0.500
0.333 0.667 0.000
0.156 0.982 0.000
0.058 0.524 0.000
0.466 0.942 0.000
0.476 0.534 0.000
0.270 0.144 0.500
0.826 0.844 0.000
0.856 0.126 0.500
0.845 0.444 0.000
0.598 0.155 0.000
0.556 0.402 0.000
0.523 0.247 0.500
0.724 0.477 0.500
0.753 0.276 0.500
0.508 0.821 0.500
0.179 0.687 0.500
0.313 0.492 0.500
0.731 0.915 0.500
0.085 0.815 0.500
0.185 0.269 0.500
0.603 0.745 0.000
0.255 0.858 0.000
0.142 0.397 0.000
0.692 0.619 0.000
0.381 0.074 0.000
0.926 0.308 0.000
0.643 0.044 0.500
0.956 0.599 0.500
0.401 0.357 0.500
0.874 0.730 0.500
0.018 0.174 0.000
0.667 0.333 0.000
0.939 0.423 0.500
0.398 0.239 0.000
0.761 0.158 0.000
0.842 0.602 0.000
0.176 0.526 0.500
0.474 0.649 0.500
0.351 0.824 0.500
0.156 0.140 0.000
0.860 0.015 0.000
0.985 0.844 0.000
0.027 0.285 0.500
0.715 0.742 0.500
0.258 0.973 0.500
0.300 0.380 0.000
0.620 0.920 0.000
0.080 0.700 0.000
0.577 0.517 0.500
0.483 0.061 0.500
```

Summary:
As for the calculated total energy: -8.5167 eV/atom. Its formation energy is -0.487 eV/atom. The crystal system is hexagonal.